(1)
## Ti3AgS6 (meta-GGA r2SCAN)

Data for crystalline Ti3AgS6 at its relaxed geometry.

a b c (Å): 5.9483 5.9483 19.1468
angles (deg): 90.00 90.00 120.00
Space group R-3 (No. 148, hexagonal axes)
One atom of each set of equivalent atoms:
1 Ti 0.0000 0.0000 0.0000
2 Ti 0.0000 0.0000 0.3327
3 Ag 0.0000 0.0000 0.5000
4 S 0.0001 0.3374 0.5924

Output
Total DFT energy (no corrections) = -365.0 eV for the cell shown

(2)
## Cs3MnF7 (meta-GGA r2SCAN)

Data for crystalline Cs3MnF7 at its relaxed geometry.

a b c (Å): 8.343 8.343 6.218
angles (deg): 90.00 90.00 90.00
Space group P4/mbm (No. 127)
One atom of each set of equivalent atoms:
1 Cs 0.000 0.000 0.000
2 Cs 0.192 0.308 0.500
3 Mn 0.000 0.500 0.000
4 F 0.000 0.000 0.500
5 F 0.108 0.608 0.208
6 F 0.154 0.346 0.000

Output
Total DFT energy (no corrections) = -289.1 eV for the cell shown

(3)
## DyOF (meta-GGA r2SCAN)

Data for crystalline DyOF at its relaxed geometry.

a b c (Å): 3.7880 3.7880 18.8687
angles (deg): 90.00 90.00 120.00
Space group R-3m (No. 166, hexagonal axes)
One atom of each set of equivalent atoms:
1 Dy 0.0000 0.0000 0.2414
2 O 0.0000 0.0000 0.1214
3 F 0.0000 0.0000 0.3696

Output
Total DFT energy (no corrections) = -323.0 eV for the cell shown

(4)
## YbTaRu2 (meta-GGA r2SCAN)

Data for crystalline YbTaRu2 at its relaxed geometry.

a b c (Å): 6.452 6.452 6.452
angles (deg): 90.00 90.00 90.00
Space group Fm-3m (No. 225)
One atom of each set of equivalent atoms:
1 Yb 0.000 0.000 0.000
2 Ta 0.000 0.000 0.500
3 Ru 0.250 0.250 0.250

Output
Total DFT energy (no corrections) = -552.8 eV for the cell shown

(5)
## CsKPt6S6O28 (meta-GGA r2SCAN)

Data for crystalline CsKPt6S6O28 at its relaxed geometry.

a b c (Å): 12.0453 12.0453 27.7347
angles (deg): 90.00 90.00 120.00
Space group R-3 (No. 148, hexagonal axes)
One atom of each set of equivalent atoms:
1 Cs 0.0000 0.0000 0.0865
2 K 0.0000 0.0000 0.2945
3 Pt 0.0522 0.5008 0.1992
4 Pt 0.0667 0.8781 0.4152
5 S 0.0076 0.7763 0.7877
6 S 0.0333 0.5476 0.3074
7 O 0.0000 0.0000 0.4065
8 O 0.0210 0.2323 0.3607
9 O 0.0256 0.2106 0.4697
10 O 0.0263 0.2926 0.8709
11 O 0.0358 0.2192 0.6441
12 O 0.0394 0.4943 0.7398
13 O 0.0477 0.4729 0.9183
14 O 0.0536 0.4906 0.6534
15 O 0.0565 0.2203 0.1672
16 O 0.0986 0.2001 0.7726

Output
Total DFT energy (no corrections) = -3641.2 eV for the cell shown

(6)
## Hg2Mo2O7 (meta-GGA r2SCAN)

Data for crystalline Hg2Mo2O7 at its relaxed geometry.

a b c (Å): 7.098 7.161 8.171
angles (deg): 64.72 66.40 66.88
Space group P-1 (No. 2)
One atom of each set of equivalent atoms:
1 Hg 0.127 0.324 0.378
2 Hg 0.319 0.174 0.632
3 Mo 0.200 0.621 0.878
4 Mo 0.309 0.874 0.136
5 O 0.036 0.497 0.837
6 O 0.095 0.097 0.163
7 O 0.205 0.787 0.007
8 O 0.264 0.686 0.354
9 O 0.323 0.750 0.652
10 O 0.399 0.392 0.945
11 O 0.472 0.044 0.848

Output
Total DFT energy (no corrections) = -421.7 eV for the cell shown

no.,formation enthalpy at 0 K (eV per atom)
1,-1.328
2,-2.969
3,-4.253
4,-0.559
5,-1.223
6,-1.652